The following is a DFT calculation (PBE) of an optimized crystal structure of Mg6CrW.

a = 4.7417 Å, b = 5.9514 Å, c = 10.9809 Å
α = 90.00°, β = 90.00°, γ = 90.00°
Fractional positions:
Mg1 0.0000 0.7391 0.0789
Mg2 0.0000 0.2609 0.0789
Mg3 0.0000 0.0000 0.3281
Mg4 0.5000 0.2551 0.4230
Mg5 0.5000 0.7449 0.4230
Mg6 0.5000 0.0000 0.1710
Mg7 0.0000 0.2391 0.5789
Mg8 0.0000 0.7609 0.5789
Mg9 0.0000 0.5000 0.8281
Mg10 0.5000 0.7551 0.9230
Mg11 0.5000 0.2449 0.9230
Mg12 0.5000 0.5000 0.6710
Cr1 0.0000 0.5000 0.3034
Cr2 0.0000 0.0000 0.8034
W1 0.5000 0.5000 0.1937
W2 0.5000 0.0000 0.6937

Output
- Uncorrected energy: -3.684 eV per atom
- V: 19.37 A^3/atom
- Energy of formation from the pure elements: 0.342 eV per atom
- Density: 4.1 g/cm3
- Distance to the lowest polymorph of the same formula: 0.000 eV per atom